No. 1
{
  "formula": "SrLiTi3Cr2O11",
  "functional": "PBE with a Hubbard U",
  "state": "relaxed",
  "lattice_angstrom": [[5.8121, 0.0000, 0.0000], [0.0000, 9.9615, 0.0000], [0.0000, 0.0000, 13.8975]],
  "species": ["Ti", "Ti", "Ti", "Ti", "Ti", "Ti", "Ti", "Ti", "Ti", "Ti", "Ti", "Ti", "Cr", "Cr", "Cr", "Cr", "Cr", "Cr", "Cr", "Cr", "O", "O", "O", "O", "O", "O", "O", "O", "O", "O", "O", "O", "O", "O", "O", "O", "O", "O", "O", "O", "O", "O", "O", "O", "O", "O", "O", "O", "O", "O", "O", "O", "O", "O", "O", "O", "O", "O", "O", "O", "O", "O", "O", "O", "Li", "Li", "Li", "Li", "Sr", "Sr", "Sr", "Sr"],
  "fractional_positions": [[0.7500, 0.8914, 0.6677], [0.7500, 0.4316, 0.6675], [0.2500, 0.9316, 0.8325], [0.7500, 0.6086, 0.1677], [0.7500, 0.0684, 0.1675], [0.7500, 0.7701, 0.9977], [0.2500, 0.2701, 0.5023], [0.2500, 0.5684, 0.3325], [0.7500, 0.7299, 0.4977], [0.2500, 0.2299, 0.0023], [0.2500, 0.1086, 0.3323], [0.2500, 0.3914, 0.8323], [0.5015, 0.8360, 0.3281], [0.0015, 0.3360, 0.1719], [0.0015, 0.1640, 0.6719], [0.9985, 0.6640, 0.8281], [0.9985, 0.8360, 0.3281], [0.5015, 0.6640, 0.8281], [0.4985, 0.1640, 0.6719], [0.4985, 0.3360, 0.1719], [0.2500, 0.0598, 0.9349], [0.9725, 0.6837, 0.0861], [0.5002, 0.5004, 0.7437], [0.9998, 0.9996, 0.2437], [0.4998, 0.4996, 0.2563], [0.7500, 0.2489, 0.2391], [0.0275, 0.3163, 0.9139], [0.4947, 0.8265, 0.9138], [0.2500, 0.2456, 0.7449], [0.9947, 0.1735, 0.0862], [0.7500, 0.7456, 0.7551], [0.2500, 0.2544, 0.2449], [0.2500, 0.4402, 0.4349], [0.0053, 0.8265, 0.9138], [0.2500, 0.9278, 0.3969], [0.7500, 0.5598, 0.5651], [0.2500, 0.7489, 0.2609], [0.5275, 0.6837, 0.0861], [0.0053, 0.6735, 0.4138], [0.7500, 0.9402, 0.0651], [0.9725, 0.8163, 0.5861], [0.0002, 0.0004, 0.7563], [0.4998, 0.0004, 0.7563], [0.9947, 0.3265, 0.5862], [0.4947, 0.6735, 0.4138], [0.2500, 0.7511, 0.7609], [0.2500, 0.3965, 0.0868], [0.5053, 0.1735, 0.0862], [0.7500, 0.6035, 0.9132], [0.0275, 0.1837, 0.4139], [0.7500, 0.7544, 0.2551], [0.5002, 0.9996, 0.2437], [0.4725, 0.3163, 0.9139], [0.7500, 0.0722, 0.6031], [0.7500, 0.4278, 0.1031], [0.7500, 0.2511, 0.7391], [0.5053, 0.3265, 0.5862], [0.0002, 0.4996, 0.2563], [0.2500, 0.1035, 0.5868], [0.5275, 0.8163, 0.5861], [0.4725, 0.1837, 0.4139], [0.7500, 0.8965, 0.4132], [0.9998, 0.5004, 0.7437], [0.2500, 0.5722, 0.8969], [0.2500, 0.9211, 0.5402], [0.7500, 0.0789, 0.4598], [0.2500, 0.5789, 0.0402], [0.7500, 0.4211, 0.9598], [0.7500, 0.1030, 0.9045], [0.2500, 0.6030, 0.5955], [0.2500, 0.8970, 0.0955], [0.7500, 0.3970, 0.4045]],
  "formation_energy_kj_per_mol_atoms": -291
}


No. 2
{
  "formula": "Li2CrTeO6",
  "functional": "PBE with a Hubbard U",
  "state": "relaxed",
  "lattice_angstrom": [[2.3990, -4.4897, -0.0003], [5.8649, 3.1363, 8.3407], [-5.3309, -2.8487, 4.2188]],
  "species": ["Te", "Te", "Te", "Te", "O", "O", "O", "O", "O", "O", "O", "O", "O", "O", "O", "O", "O", "O", "O", "O", "O", "O", "O", "O", "O", "O", "O", "O", "Li", "Li", "Li", "Li", "Li", "Li", "Li", "Li", "Cr", "Cr", "Cr", "Cr"],
  "fractional_positions": [[0.4999, 0.2507, 0.9996], [0.4999, 0.7506, 0.9996], [0.0003, 0.5004, 0.4993], [0.0002, 0.0004, 0.4994], [0.6259, 0.7407, 0.7514], [0.3748, 0.2423, 0.2516], [0.3183, 0.0892, 0.9450], [0.1951, 0.6511, 0.5719], [0.8059, 0.6516, 0.0702], [0.8059, 0.1516, 0.0702], [0.6950, 0.4011, 0.0722], [0.8186, 0.8391, 0.4450], [0.8745, 0.9925, 0.7517], [0.3748, 0.7421, 0.2515], [0.6794, 0.0882, 0.4466], [0.3184, 0.5892, 0.9448], [0.6258, 0.2409, 0.7514], [0.8189, 0.3392, 0.4449], [0.8748, 0.4927, 0.7516], [0.1950, 0.1511, 0.5721], [0.3061, 0.9016, 0.5706], [0.1790, 0.3381, 0.9464], [0.6796, 0.5883, 0.4465], [0.6950, 0.9011, 0.0723], [0.1259, 0.9907, 0.2514], [0.1260, 0.4908, 0.2513], [0.3063, 0.4018, 0.5705], [0.1792, 0.8381, 0.9464], [0.9997, 0.2876, 0.2120], [0.4998, 0.0374, 0.7124], [0.5004, 0.5330, 0.2174], [0.5003, 0.0327, 0.2175], [0.0004, 0.2827, 0.7171], [0.5001, 0.5376, 0.7124], [0.0003, 0.7826, 0.7171], [0.9999, 0.7874, 0.2123], [0.5001, 0.2514, 0.4986], [0.0001, 0.0016, 0.9983], [0.5002, 0.7514, 0.4987], [0.0002, 0.5017, 0.9982]],
  "formation_energy_kj_per_mol_atoms": -185
}


No. 3
{
  "formula": "Li4Ti3Cr3Te2O16",
  "functional": "PBE with a Hubbard U",
  "state": "relaxed",
  "lattice_angstrom": [[-2.9937, 5.1861, -0.0002], [-9.2128, -5.3200, 0.0193], [6.0879, 0.0576, 10.1626]],
  "species": ["O", "O", "O", "O", "O", "O", "O", "O", "O", "O", "O", "O", "O", "O", "O", "O", "O", "O", "O", "O", "O", "O", "O", "O", "O", "O", "O", "O", "O", "O", "O", "O", "Li", "Li", "Li", "Li", "Li", "Li", "Li", "Li", "Ti", "Ti", "Ti", "Ti", "Ti", "Ti", "Te", "Te", "Te", "Te", "Cr", "Cr", "Cr", "Cr", "Cr", "Cr"],
  "fractional_positions": [[0.6685, 0.1520, 0.3369], [0.1544, 0.1563, 0.3088], [0.3056, 0.9794, 0.6110], [0.7979, 0.6107, 0.0892], [0.9188, 0.4360, 0.3345], [0.4197, 0.9406, 0.8393], [0.5554, 0.7254, 0.6004], [0.6544, 0.6563, 0.3089], [0.1777, 0.1592, 0.8200], [0.2914, 0.6108, 0.0893], [0.8005, 0.9559, 0.6010], [0.9198, 0.4408, 0.8395], [0.0577, 0.3965, 0.1154], [0.9148, 0.9355, 0.3341], [0.8056, 0.4795, 0.6111], [0.7912, 0.1106, 0.0892], [0.4191, 0.9357, 0.3343], [0.6778, 0.6592, 0.8201], [0.4022, 0.3979, 0.8044], [0.6424, 0.1592, 0.8199], [0.0451, 0.7254, 0.6004], [0.0553, 0.2255, 0.6003], [0.5577, 0.8964, 0.1154], [0.4152, 0.4358, 0.3343], [0.9023, 0.8980, 0.8045], [0.1424, 0.6592, 0.8200], [0.3005, 0.4561, 0.6010], [0.5451, 0.2255, 0.6003], [0.1684, 0.6520, 0.3367], [0.2981, 0.1105, 0.0891], [0.5571, 0.4075, 0.1142], [0.0571, 0.9075, 0.1143], [0.4950, 0.4887, 0.9900], [0.2459, 0.2477, 0.4918], [0.9951, 0.9889, 0.9900], [0.7459, 0.7476, 0.4918], [0.7019, 0.3676, 0.4040], [0.9500, 0.2856, 0.8999], [0.4500, 0.7856, 0.8998], [0.2019, 0.8675, 0.4039], [0.3595, 0.0172, 0.2233], [0.8595, 0.5173, 0.2234], [0.3629, 0.1871, 0.7255], [0.8629, 0.6872, 0.7256], [0.3638, 0.5172, 0.2233], [0.8638, 0.0171, 0.2232], [0.2503, 0.5908, 0.5006], [0.7503, 0.0908, 0.5004], [0.4973, 0.1426, 0.9946], [0.9973, 0.6427, 0.9947], [0.1058, 0.2743, 0.2121], [0.1055, 0.4434, 0.7121], [0.6067, 0.4434, 0.7121], [0.1067, 0.9434, 0.7121], [0.6055, 0.9434, 0.7121], [0.6058, 0.7740, 0.2119]],
  "formation_energy_kj_per_mol_atoms": -243
}


No. 4
{
  "formula": "Li4V2CrTeO12",
  "functional": "PBE with a Hubbard U",
  "state": "relaxed",
  "lattice_angstrom": [[-2.1055, -4.1591, -1.9742], [4.6763, -2.5219, 0.3072], [-1.2757, -2.5948, 6.7353]],
  "species": ["O", "O", "O", "O", "O", "O", "O", "O", "O", "O", "O", "O", "Te", "Li", "Li", "Li", "Li", "V", "V", "Cr"],
  "fractional_positions": [[0.6288, 0.4760, 0.7464], [0.6949, 0.7966, 0.4212], [0.7984, 0.6731, 0.0449], [0.6893, 0.1754, 0.0474], [0.8892, 0.9908, 0.7316], [0.3753, 0.4738, 0.2487], [0.3209, 0.1741, 0.5563], [0.1794, 0.6721, 0.5577], [0.1097, 0.9822, 0.2563], [0.8098, 0.2991, 0.4255], [0.3016, 0.7846, 0.9406], [0.2069, 0.2924, 0.9401], [0.5008, 0.5018, 0.5003], [0.9985, 0.5954, 0.2780], [0.0032, 0.5685, 0.7973], [0.4917, 0.0517, 0.2646], [0.5035, 0.0793, 0.8043], [0.0045, 0.0117, 0.5031], [0.4978, 0.5214, 0.0015], [0.9956, 0.0224, 0.0054]],
  "formation_energy_kj_per_mol_atoms": -204
}